Record 1
The following is a PBE with a Hubbard U calculation of a relaxed K2Mn2S3O12 crystal, from Materials Project.

a = 10.3034 Å, b = 10.3034 Å, c = 10.3034 Å
α = 90.00°, β = 90.00°, γ = 90.00°
With the nearest neighbours (Å) after each atom.
Fractional positions:
K: 0.0521 0.0521 0.0521  6 O 2.88-3.05
K: 0.1852 0.3148 0.6852  9 O 2.93-3.21
K: 0.3148 0.6852 0.1852  9 O 2.93-3.21
K: 0.4479 0.9479 0.5521  6 O 2.88-3.05
K: 0.5521 0.4479 0.9479  6 O 2.88-3.05
K: 0.6852 0.1852 0.3148  9 O 2.93-3.21
K: 0.8148 0.8148 0.8148  9 O 2.93-3.21
K: 0.9479 0.5521 0.4479  6 O 2.88-3.05
Mn: 0.0930 0.9070 0.4070  6 O 2.20
Mn: 0.1668 0.6668 0.8332  6 O 2.18-2.19
Mn: 0.3332 0.3332 0.3332  6 O 2.18-2.19
Mn: 0.4070 0.0930 0.9070  6 O 2.20
Mn: 0.5930 0.5930 0.5930  6 O 2.20
Mn: 0.6668 0.8332 0.1668  6 O 2.18-2.19
Mn: 0.8332 0.1668 0.6668  6 O 2.18-2.19
Mn: 0.9070 0.4070 0.0930  6 O 2.20
S: 0.0156 0.2218 0.3757  4 O 1.49-1.50
S: 0.1243 0.9844 0.7218  4 O 1.49-1.50
S: 0.2218 0.3757 0.0156  4 O 1.49-1.50
S: 0.2782 0.6243 0.5156  4 O 1.49-1.50
S: 0.3757 0.0156 0.2218  4 O 1.49-1.50
S: 0.4844 0.7782 0.8757  4 O 1.49-1.50
S: 0.5156 0.2782 0.6243  4 O 1.49-1.50
S: 0.6243 0.5156 0.2782  4 O 1.49-1.50
S: 0.7218 0.1243 0.9844  4 O 1.49-1.50
S: 0.7782 0.8757 0.4844  4 O 1.49-1.50
S: 0.8757 0.4844 0.7782  4 O 1.49-1.50
S: 0.9844 0.7218 0.1243  4 O 1.49-1.50
O: 0.0059 0.0657 0.7371  1 S 1.49
O: 0.0079 0.0857 0.3258  1 S 1.50
O: 0.0373 0.8115 0.2241  1 S 1.49
O: 0.0657 0.7371 0.0059  1 S 1.49
O: 0.0857 0.3258 0.0079  1 S 1.50
O: 0.0910 0.8483 0.7555  1 S 1.49
O: 0.1517 0.2555 0.4090  1 S 1.49
O: 0.1742 0.9921 0.5857  1 S 1.50
O: 0.1885 0.7241 0.4627  1 S 1.49
O: 0.2241 0.0373 0.8115  1 S 1.49
O: 0.2371 0.4941 0.9343  1 S 1.49
O: 0.2445 0.5910 0.6517  1 S 1.49
O: 0.2555 0.4090 0.1517  1 S 1.49
O: 0.2629 0.5059 0.4343  1 S 1.49
O: 0.2759 0.9627 0.3115  1 S 1.49
O: 0.3115 0.2759 0.9627  1 S 1.49
O: 0.3258 0.0079 0.0857  1 S 1.50
O: 0.3483 0.7445 0.9090  1 S 1.49
O: 0.4090 0.1517 0.2555  1 S 1.49
O: 0.4143 0.6742 0.5079  1 S 1.50
O: 0.4343 0.2629 0.5059  1 S 1.49
O: 0.4627 0.1885 0.7241  1 S 1.49
O: 0.4921 0.9143 0.8258  1 S 1.50
O: 0.4941 0.9343 0.2371  1 S 1.49
O: 0.5059 0.4343 0.2629  1 S 1.49
O: 0.5079 0.4143 0.6742  1 S 1.50
O: 0.5373 0.6885 0.7759  1 S 1.49
O: 0.5657 0.7629 0.9941  1 S 1.49
O: 0.5857 0.1742 0.9921  1 S 1.50
O: 0.5910 0.6517 0.2445  1 S 1.49
O: 0.6517 0.2445 0.5910  1 S 1.49
O: 0.6742 0.5079 0.4143  1 S 1.50
O: 0.6885 0.7759 0.5373  1 S 1.49
O: 0.7241 0.4627 0.1885  1 S 1.49
O: 0.7371 0.0059 0.0657  1 S 1.49
O: 0.7445 0.9090 0.3483  1 S 1.49
O: 0.7555 0.0910 0.8483  1 S 1.49
O: 0.7629 0.9941 0.5657  1 S 1.49
O: 0.7759 0.5373 0.6885  1 S 1.49
O: 0.8115 0.2241 0.0373  1 S 1.49
O: 0.8258 0.4921 0.9143  1 S 1.50
O: 0.8483 0.7555 0.0910  1 S 1.49
O: 0.9090 0.3483 0.7445  1 S 1.49
O: 0.9143 0.8258 0.4921  1 S 1.50
O: 0.9343 0.2371 0.4941  1 S 1.49
O: 0.9627 0.3115 0.2759  1 S 1.49
O: 0.9921 0.5857 0.1742  1 S 1.50
O: 0.9941 0.5657 0.7629  1 S 1.49

Summary:
Total magnetic moment = 0.526 μB/atom
Space-group type = P2_13
V = 273.5 Å³/f.u.
Excess energy over the best structure of this formula in the dataset = 0.0 meV/atom
Final energy = -6.400 eV/atom

Record 2
The following is a PBE with a Hubbard U calculation of a relaxed K2Mn2S3O12 crystal, from Materials Project.

a = 10.2244 Å, b = 10.2361 Å, c = 10.2793 Å
α = 90.00°, β = 90.00°, γ = 90.00°
With the nearest neighbours (Å) after each atom.
Fractional positions:
K: 0.0589 0.0374 0.0571  4 O 2.72-2.92
K: 0.1905 0.3280 0.6870  8 O 2.86-3.07
K: 0.3095 0.6720 0.1870  8 O 2.86-3.07
K: 0.4411 0.9626 0.5571  4 O 2.72-2.92
K: 0.5589 0.4626 0.9429  4 O 2.72-2.92
K: 0.6905 0.1720 0.3130  8 O 2.86-3.07
K: 0.8095 0.8280 0.8130  8 O 2.86-3.07
K: 0.9411 0.5374 0.4429  4 O 2.72-2.92
Mn: 0.0809 0.8915 0.4055  6 O 2.15-2.28
Mn: 0.1626 0.6864 0.8457  6 O 2.17-2.25
Mn: 0.3374 0.3136 0.3457  6 O 2.17-2.25
Mn: 0.4191 0.1085 0.9055  6 O 2.15-2.28
Mn: 0.5809 0.6085 0.5945  6 O 2.15-2.28
Mn: 0.6626 0.8136 0.1543  6 O 2.17-2.25
Mn: 0.8374 0.1864 0.6543  6 O 2.17-2.25
Mn: 0.9191 0.3915 0.0945  6 O 2.15-2.28
S: 0.0266 0.2116 0.3719  4 O 1.48-1.49
S: 0.1308 0.9970 0.7127  4 O 1.48-1.49
S: 0.2383 0.3834 0.0133  4 O 1.49
S: 0.2617 0.6166 0.5133  4 O 1.49
S: 0.3692 0.0030 0.2127  4 O 1.48-1.49
S: 0.4734 0.7884 0.8719  4 O 1.48-1.49
S: 0.5266 0.2884 0.6281  4 O 1.48-1.49
S: 0.6308 0.5030 0.2873  4 O 1.48-1.49
S: 0.7383 0.1166 0.9867  4 O 1.49
S: 0.7617 0.8834 0.4867  4 O 1.49
S: 0.8692 0.4970 0.7873  4 O 1.48-1.49
S: 0.9734 0.7116 0.1281  4 O 1.48-1.49
O: 0.0015 0.5740 0.1679  1 S 1.49
O: 0.0129 0.2991 0.2584  1 S 1.48
O: 0.0235 0.0936 0.6985  1 S 1.48
O: 0.0697 0.7542 0.0278  1 S 1.49
O: 0.0826 0.8837 0.7905  1 S 1.49
O: 0.1039 0.3298 0.9955  1 S 1.49
O: 0.1621 0.2212 0.4243  1 S 1.49
O: 0.1681 0.6982 0.4366  1 S 1.49
O: 0.1764 0.9513 0.5824  1 S 1.49
O: 0.2224 0.6127 0.6525  1 S 1.49
O: 0.2423 0.0623 0.7793  1 S 1.49
O: 0.2467 0.5190 0.9601  1 S 1.49
O: 0.2533 0.4810 0.4601  1 S 1.49
O: 0.2577 0.9377 0.2793  1 S 1.49
O: 0.2776 0.3873 0.1525  1 S 1.49
O: 0.3236 0.0487 0.0824  1 S 1.49
O: 0.3319 0.3018 0.9366  1 S 1.49
O: 0.3379 0.7788 0.9243  1 S 1.49
O: 0.3961 0.6702 0.4955  1 S 1.49
O: 0.4174 0.1163 0.2905  1 S 1.49
O: 0.4303 0.2458 0.5278  1 S 1.49
O: 0.4765 0.9064 0.1985  1 S 1.48
O: 0.4871 0.7009 0.7584  1 S 1.48
O: 0.4985 0.4260 0.6679  1 S 1.49
O: 0.5015 0.9260 0.8321  1 S 1.49
O: 0.5129 0.2009 0.7416  1 S 1.48
O: 0.5235 0.4064 0.3015  1 S 1.48
O: 0.5697 0.7458 0.9722  1 S 1.49
O: 0.5826 0.6163 0.2095  1 S 1.49
O: 0.6039 0.1702 0.0045  1 S 1.49
O: 0.6621 0.2788 0.5757  1 S 1.49
O: 0.6681 0.8018 0.5634  1 S 1.49
O: 0.6764 0.5487 0.4176  1 S 1.49
O: 0.7224 0.8873 0.3475  1 S 1.49
O: 0.7423 0.4377 0.2207  1 S 1.49
O: 0.7467 0.9810 0.0399  1 S 1.49
O: 0.7533 0.0190 0.5399  1 S 1.49
O: 0.7577 0.5623 0.7207  1 S 1.49
O: 0.7776 0.1127 0.8475  1 S 1.49
O: 0.8236 0.4513 0.9176  1 S 1.49
O: 0.8319 0.1982 0.0634  1 S 1.49
O: 0.8379 0.7212 0.0757  1 S 1.49
O: 0.8961 0.8298 0.5045  1 S 1.49
O: 0.9174 0.3837 0.7095  1 S 1.49
O: 0.9303 0.2542 0.4722  1 S 1.49
O: 0.9765 0.5936 0.8015  1 S 1.48
O: 0.9871 0.7991 0.2416  1 S 1.48
O: 0.9985 0.0740 0.3321  1 S 1.49

Summary:
Total magnetic moment = 0.123 μB/atom
Space-group type = P2_12_12_1
V = 269.0 Å³/f.u.
Excess energy over the best structure of this formula in the dataset = 226.8 meV/atom
Final energy = -6.173 eV/atom

Record 3
The following is a PBE with a Hubbard U calculation of a relaxed K2MnS2O12 crystal, from Materials Project.

a = 7.5188 Å, b = 7.5188 Å, c = 11.3897 Å
α = 92.46°, β = 92.46°, γ = 74.70°
With the nearest neighbours (Å) after each atom.
Fractional positions:
K: 0.1138 0.1138 0.1758  4 O 2.67-2.82
K: 0.3207 0.3207 0.5488  6 O 2.74-2.95
K: 0.6793 0.6793 0.4512  6 O 2.74-2.95
K: 0.8862 0.8862 0.8242  4 O 2.67-2.82
Mn: 0.0000 0.0000 0.5000  4 O 1.78
Mn: 0.5000 0.5000 0.0000  4 O 1.98
S: 0.0887 0.5827 0.2401  4 O 1.48-1.50
S: 0.4173 0.9113 0.7599  4 O 1.48-1.50
S: 0.5827 0.0887 0.2401  4 O 1.48-1.50
S: 0.9113 0.4173 0.7599  4 O 1.48-1.50
O: 0.0202 0.7689 0.5400  1 Mn 1.78
O: 0.0946 0.7753 0.2245  1 S 1.48
O: 0.1047 0.4268 0.7501  1 S 1.48
O: 0.1725 0.4614 0.1383  1 S 1.50
O: 0.1974 0.5100 0.3480  1 S 1.49
O: 0.2247 0.9054 0.7755  1 S 1.48
O: 0.2311 0.9798 0.4600  1 Mn 1.78
O: 0.2508 0.6596 0.9624  1 O 1.34
O: 0.3404 0.7492 0.0376  1 O 1.34
O: 0.4268 0.1047 0.7501  1 S 1.48
O: 0.4614 0.1725 0.1383  1 S 1.50
O: 0.4900 0.8026 0.6520  1 S 1.49
O: 0.5100 0.1974 0.3480  1 S 1.49
O: 0.5386 0.8275 0.8617  1 S 1.50
O: 0.5732 0.8953 0.2499  1 S 1.48
O: 0.6596 0.2508 0.9624  1 O 1.34
O: 0.7492 0.3404 0.0376  1 O 1.34
O: 0.7689 0.0202 0.5400  1 Mn 1.78
O: 0.7753 0.0946 0.2245  1 S 1.48
O: 0.8026 0.4900 0.6520  1 S 1.49
O: 0.8275 0.5386 0.8617  1 S 1.50
O: 0.8953 0.5732 0.2499  1 S 1.48
O: 0.9054 0.2247 0.7755  1 S 1.48
O: 0.9798 0.2311 0.4600  1 Mn 1.78

Summary:
Total magnetic moment = 0.353 μB/atom
Space-group type = C2/m
V = 310.1 Å³/f.u.
Excess energy over the best structure of this formula in the dataset = 257.3 meV/atom
Final energy = -5.478 eV/atom